No. 1
An optimized crystal structure of MgZn4Sn4O8. Source: Materials Project, functional PBE.

Output
- Formation enthalpy at 0 K: -1.502 eV/atom
- DFT total energy: -4.84 eV/atom
- Relative energy among the computed polymorphs: 0.133 eV per atom

Cell: 3.3868 9.2437 9.4961 Å, 81.67 79.85 89.56°
With the nearest neighbours (Å) after each atom.
Space group P1 (No. 1)
Inequivalent atoms, fractional coordinates:
1 Mg 0.0000 0.0000 0.0000 (multiplicity 1)  1 O 1.99
2 Zn 0.1794 0.6704 0.5872 (multiplicity 1)  3 O 1.94-1.97
3 Zn 0.5766 0.2713 0.8302 (multiplicity 1)  4 O 1.94-2.12
4 Zn 0.7714 0.4384 0.4179 (multiplicity 1)  4 O 1.97-2.08
5 Zn 0.9578 0.4654 0.0481 (multiplicity 1)  5 O 2.03-2.16
6 Sn 0.1938 0.1272 0.5956 (multiplicity 1)  3 O 2.16-2.22
7 Sn 0.3511 0.7460 0.2414 (multiplicity 1)  3 O 2.16-2.29
8 Sn 0.3846 0.1816 0.2131 (multiplicity 1)  3 O 2.22-2.28
9 Sn 0.5497 0.7459 0.8469 (multiplicity 1)  3 O 2.07-2.16
10 O 0.0553 0.6028 0.8409 (multiplicity 1)  2 Sn 2.15-2.16, 2 Zn 2.16-2.36
11 O 0.0825 0.1488 0.8229 (multiplicity 1)  1 Mg 1.99, 2 Zn 2.04, 1 Sn 2.16
12 O 0.2644 0.5548 0.4267 (multiplicity 1)  3 Zn 1.97-2.01
13 O 0.4793 0.3526 0.0108 (multiplicity 1)  3 Zn 1.94-2.05
14 O 0.6599 0.7608 0.6234 (multiplicity 1)  2 Zn 1.94, 1 Sn 2.07
15 O 0.6880 0.2820 0.6017 (multiplicity 1)  2 Zn 2.08-2.12, 2 Sn 2.22
16 O 0.8598 0.3250 0.2547 (multiplicity 1)  2 Zn 1.97-2.16
17 O 0.8962 0.6425 0.1534 (multiplicity 1)  1 Zn 2.03, 2 Sn 2.16-2.17



No. 2
An optimized crystal structure of Mg14ZnSnO16. Source: Materials Project, functional PBE.

Output
- Formation enthalpy at 0 K: -2.771 eV/atom
- DFT total energy: -5.77 eV/atom

Cell: 8.6668 8.6668 4.3670 Å, 90.00 90.00 90.00°
With the nearest neighbours (Å) after each atom.
Space group P4/mmm (No. 123)
Inequivalent atoms, fractional coordinates:
1 Mg 0.0000 0.2486 0.0000 (multiplicity 4)  6 O 2.15-2.18
2 Mg 0.0000 0.5000 0.5000 (multiplicity 2)  6 O 1.98-2.18
3 Mg 0.2408 0.5000 0.0000 (multiplicity 4)  6 O 2.09-2.25
4 Mg 0.2453 0.2453 0.5000 (multiplicity 4)  6 O 2.13-2.21
5 Zn 0.0000 0.0000 0.5000 (multiplicity 1)  6 O 2.16-2.18
6 Sn 0.5000 0.5000 0.5000 (multiplicity 1)  6 O 2.18-2.35
7 O 0.0000 0.0000 0.0000 (multiplicity 1)  4 Mg 2.15, 2 Zn 2.18
8 O 0.0000 0.2495 0.5000 (multiplicity 4)  5 Mg 2.13-2.18, 1 Zn 2.16
9 O 0.0000 0.5000 0.0000 (multiplicity 2)  6 Mg 2.09-2.18
10 O 0.2284 0.5000 0.5000 (multiplicity 4)  5 Mg 1.98-2.21
11 O 0.2500 0.2500 0.0000 (multiplicity 4)  6 Mg 2.17-2.18
12 O 0.5000 0.5000 0.0000 (multiplicity 1)  2 Sn 2.18, 4 Mg 2.25



No. 3
An optimized crystal structure of Mg14ZnSnO16. Source: Materials Project, functional PBE.

Output
- Formation enthalpy at 0 K: -2.773 eV/atom
- DFT total energy: -5.77 eV/atom

Cell: 4.3713 8.6405 8.6997 Å, 90.00 90.00 90.00°
With the nearest neighbours (Å) after each atom.
Space group Pmmm (No. 47)
Inequivalent atoms, fractional coordinates:
1 Mg 0.0000 0.0000 0.0000 (multiplicity 1)  6 O 2.09-2.19
2 Mg 0.0000 0.2448 0.2446 (multiplicity 4)  6 O 2.12-2.23
3 Mg 0.0000 0.5000 0.0000 (multiplicity 1)  6 O 1.99-2.19
4 Mg 0.5000 0.0000 0.2488 (multiplicity 2)  6 O 2.16-2.19
5 Mg 0.5000 0.2402 0.5000 (multiplicity 2)  6 O 2.08-2.24
6 Mg 0.5000 0.2483 0.0000 (multiplicity 2)  6 O 2.15-2.19
7 Mg 0.5000 0.5000 0.2407 (multiplicity 2)  6 O 2.09-2.26
8 Zn 0.0000 0.0000 0.5000 (multiplicity 1)  4 O 1.99-2.19
9 Sn 0.0000 0.5000 0.5000 (multiplicity 1)  6 O 2.19-2.36
10 O 0.0000 0.0000 0.2397 (multiplicity 2)  5 Mg 2.09-2.19, 1 Zn 2.26
11 O 0.0000 0.2299 0.5000 (multiplicity 2)  1 Zn 1.99, 2 Mg 2.19
12 O 0.0000 0.2472 0.0000 (multiplicity 2)  6 Mg 2.13-2.19
13 O 0.0000 0.5000 0.2287 (multiplicity 2)  5 Mg 1.99-2.21
14 O 0.5000 0.0000 0.0000 (multiplicity 1)  6 Mg 2.15-2.19
15 O 0.5000 0.0000 0.5000 (multiplicity 1)  4 Mg 2.08-2.19, 2 Zn 2.19
16 O 0.5000 0.2502 0.2509 (multiplicity 4)  6 Mg 2.16-2.19
17 O 0.5000 0.5000 0.0000 (multiplicity 1)  6 Mg 2.09-2.19
18 O 0.5000 0.5000 0.5000 (multiplicity 1)  2 Sn 2.19, 4 Mg 2.24-2.26



No. 4
An optimized crystal structure of MgZn4Sn4O8. Source: Materials Project, functional PBE.

Output
- Formation enthalpy at 0 K: -1.614 eV/atom
- DFT total energy: -4.95 eV/atom
- Relative energy among the computed polymorphs: 0.021 eV per atom

Cell: 3.2875 9.0134 9.5285 Å, 93.42 98.91 98.97°
With the nearest neighbours (Å) after each atom.
Space group P1 (No. 1)
Inequivalent atoms, fractional coordinates:
1 Mg 0.0000 0.0000 0.0000 (multiplicity 1)  4 O 1.97-2.05
2 Zn 0.4077 0.0636 0.7655 (multiplicity 1)  4 O 1.99-2.17
3 Zn 0.4874 0.8501 0.1909 (multiplicity 1)  5 O 2.05-2.24
4 Zn 0.6533 0.6904 0.9040 (multiplicity 1)  4 O 2.00-2.15
5 Zn 0.6592 0.8400 0.5495 (multiplicity 1)  4 O 1.99-2.03
6 Sn 0.0090 0.5049 0.6425 (multiplicity 1)  3 O 2.12-2.22
7 Sn 0.1167 0.3609 0.0102 (multiplicity 1)  2 O 2.12-2.19
8 Sn 0.2452 0.1538 0.4033 (multiplicity 1)  2 O 2.13-2.30
9 Sn 0.8847 0.5671 0.2844 (multiplicity 1)  3 O 2.13-2.23
10 O 0.0976 0.0069 0.2124 (multiplicity 1)  1 Mg 1.99, 1 Zn 2.07, 1 Sn 2.13
11 O 0.1088 0.5326 0.8679 (multiplicity 1)  2 Zn 2.07-2.27, 2 Sn 2.12
12 O 0.2249 0.9737 0.5651 (multiplicity 1)  3 Zn 1.99-2.03
13 O 0.4252 0.8999 0.9228 (multiplicity 1)  2 Mg 1.97-1.99, 2 Zn 2.15-2.17
14 O 0.4903 0.7207 0.3608 (multiplicity 1)  2 Zn 1.99-2.05, 1 Sn 2.20
15 O 0.6005 0.6691 0.6768 (multiplicity 1)  2 Zn 2.02-2.14, 2 Sn 2.19-2.22
16 O 0.8652 0.7099 0.1138 (multiplicity 1)  3 Zn 2.00-2.22, 1 Sn 2.13
17 O 0.9894 0.1613 0.8566 (multiplicity 1)  2 Zn 2.01-2.02, 1 Mg 2.05, 1 Sn 2.19



No. 5
An optimized crystal structure of Mg6ZnSnO8. Source: Materials Project, functional PBE.

Output
- Formation enthalpy at 0 K: -2.498 eV/atom
- DFT total energy: -5.56 eV/atom
- Relative energy among the computed polymorphs: 0.000 eV per atom

Cell: 4.4392 4.4392 8.8695 Å, 90.00 90.00 90.00°
With the nearest neighbours (Å) after each atom.
Space group P4/mmm (No. 123)
Inequivalent atoms, fractional coordinates:
1 Mg 0.0000 0.0000 0.0000 (multiplicity 1)  6 O 2.13-2.22
2 Mg 0.0000 0.5000 0.2370 (multiplicity 4)  6 O 2.10-2.33
3 Mg 0.5000 0.5000 0.0000 (multiplicity 1)  6 O 2.02-2.22
4 Zn 0.0000 0.0000 0.5000 (multiplicity 1)  6 O 2.22-2.31
5 Sn 0.5000 0.5000 0.5000 (multiplicity 1)  6 O 2.22-2.41
6 O 0.0000 0.0000 0.2399 (multiplicity 2)  5 Mg 2.13-2.22, 1 Zn 2.31
7 O 0.0000 0.5000 0.0000 (multiplicity 2)  6 Mg 2.10-2.22
8 O 0.0000 0.5000 0.5000 (multiplicity 2)  2 Sn 2.22, 2 Zn 2.22, 2 Mg 2.33
9 O 0.5000 0.5000 0.2282 (multiplicity 2)  5 Mg 2.02-2.22



No. 6
An optimized crystal structure of Mg6ZnSnO8. Source: Materials Project, functional PBE.

Output
- Formation enthalpy at 0 K: -2.495 eV/atom
- DFT total energy: -5.55 eV/atom
- Relative energy among the computed polymorphs: 0.003 eV per atom

Cell: 4.4640 4.4640 8.7921 Å, 90.00 90.00 90.00°
With the nearest neighbours (Å) after each atom.
Space group P4/mmm (No. 123)
Inequivalent atoms, fractional coordinates:
1 Mg 0.0000 0.0000 0.0000 (multiplicity 1)  6 O 2.19-2.23
2 Mg 0.0000 0.0000 0.5000 (multiplicity 1)  6 O 2.21-2.23
3 Mg 0.0000 0.5000 0.2376 (multiplicity 4)  6 O 2.09-2.31
4 Zn 0.5000 0.5000 0.0000 (multiplicity 1)  6 O 2.03-2.23
5 Sn 0.5000 0.5000 0.5000 (multiplicity 1)  6 O 2.23-2.37
6 O 0.0000 0.0000 0.2491 (multiplicity 2)  6 Mg 2.19-2.23
7 O 0.0000 0.5000 0.0000 (multiplicity 2)  4 Mg 2.09-2.23, 2 Zn 2.23
8 O 0.0000 0.5000 0.5000 (multiplicity 2)  2 Sn 2.23, 4 Mg 2.23-2.31
9 O 0.5000 0.5000 0.2307 (multiplicity 2)  1 Zn 2.03, 4 Mg 2.23



No. 7
An optimized crystal structure of SrMgO3. Source: Materials Project, functional PBE.

Output
- Formation enthalpy at 0 K: -2.324 eV/atom
- DFT total energy: -5.54 eV/atom

Cell: 4.0256 4.0256 4.0256 Å, 90.00 90.00 90.00°
With the nearest neighbours (Å) after each atom.
Space group Pm-3m (No. 221)
Inequivalent atoms, fractional coordinates:
1 Sr 0.0000 0.0000 0.0000 (multiplicity 1)  12 O 2.85
2 Mg 0.5000 0.5000 0.5000 (multiplicity 1)  6 O 2.01
3 O 0.0000 0.5000 0.5000 (multiplicity 3)  2 Mg 2.01



No. 8
An optimized crystal structure of Sr3MgO4. Source: Materials Project, functional PBE.

Output
- Formation enthalpy at 0 K: -2.614 eV/atom
- DFT total energy: -5.58 eV/atom

Cell: 6.4729 13.2917 3.3859 Å, 90.00 90.00 90.00°
With the nearest neighbours (Å) after each atom.
Space group Cmmm (No. 65)
Inequivalent atoms, fractional coordinates:
1 Sr 0.0000 0.0000 0.0000 (multiplicity 2)  4 O 2.54
2 Sr 0.0000 0.2942 0.5000 (multiplicity 4)  4 O 2.41
3 Mg 0.0000 0.5000 0.0000 (multiplicity 2)  4 O 2.16
4 O 0.2083 0.5000 0.5000 (multiplicity 4)  2 Mg 2.16
5 O 0.2500 0.2500 0.0000 (multiplicity 4)  4 Sr 2.41